This record from Materials Project describes an optimized crystal structure of LiFeP3H8O13. The functional is PBE+U.

```
52
Lattice="7.123 0.000 0.000 1.554 7.536 0.000 2.729 0.496 9.571" Properties=species:S:1:pos:R:3 pbc="T T T"
Li 0.000 0.000 0.000
Li 2.142 4.016 4.786
Fe 2.266 1.567 2.276
Fe 9.140 6.464 7.295
P 4.253 6.307 4.574
P 5.613 6.439 7.110
P 4.451 4.186 2.575
P 6.955 3.845 6.996
P 5.794 1.592 2.461
P 7.154 1.724 4.997
H 3.139 2.344 7.608
H 1.966 5.014 0.806
H 4.245 3.031 9.480
H 3.127 1.653 5.451
H 3.826 6.561 0.991
H 4.322 2.602 5.755
H 5.795 3.316 9.538
H 6.727 7.883 9.261
H 4.680 0.149 0.310
H 5.611 4.715 0.033
H 7.085 5.429 3.816
H 7.581 1.471 8.580
H 8.279 6.378 4.120
H 7.162 5.001 0.091
H 9.440 3.017 8.766
H 8.267 5.688 1.963
O 3.015 2.348 8.599
O 3.190 5.649 5.410
O 4.342 6.839 7.789
O 3.370 2.465 5.937
O 3.904 7.425 3.648
O 2.248 2.843 0.527
O 3.262 3.441 3.116
O 3.631 7.459 0.605
O 5.495 6.768 5.513
O 5.671 4.813 7.142
O 4.329 4.978 1.306
O 5.051 5.131 3.762
O 6.927 7.008 7.571
O 4.479 1.023 2.000
O 6.356 2.900 5.809
O 7.077 3.053 8.265
O 5.735 3.218 2.429
O 5.912 1.263 4.058
O 7.775 0.572 8.966
O 8.144 4.591 6.455
O 9.158 5.188 9.044
O 7.503 0.606 5.923
O 8.036 5.566 3.634
O 7.064 1.193 1.782
O 8.216 2.382 4.161
O 8.391 5.683 0.972
```

Output
The formation enthalpy at 0 K is -1.930 eV/atom. The space-group type is P-1. As for the volume: 514 Å³/cell. The crystal system is triclinic.